Record 1
First-principles (r²SCAN) data for an optimized crystal structure of LaP2, as listed in Materials Project.

Cell: 8.8731 8.9532 9.4205 Å, 118.29 118.01 90.16°
Closest atoms and distances in Å follow each position.
Sites, in units of the cell vectors:
P  0.4129  0.8653  0.7620  1 P 2.20
P  0.6509  0.6033  0.2380  1 P 2.20
P  0.2318  0.4332  0.2344  1 P 2.20
P  0.9974  0.6988  0.7656  1 P 2.20
P  0.7954  0.2059  0.2415  2 P 2.21-2.30
P  0.0662  0.8040  0.2584  1 P 2.22
P  0.0343  0.9359  0.7554  2 P 2.20-2.22
P  0.6789  0.2807  0.4301  2 P 2.18-2.30
P  0.2789  0.6805  0.2446  2 P 2.20-2.22
P  0.6726  0.9230  0.0108  2 P 2.20-2.21
P  0.2488  0.3506  0.5699  2 P 2.18-2.30
P  0.8078  0.0456  0.7416  1 P 2.22
P  0.1834  0.2793  0.7296  1 P 2.18
P  0.4538  0.0497  0.2704  1 P 2.18
P  0.5540  0.4644  0.7585  2 P 2.21-2.30
P  0.6618  0.4123  0.9892  2 P 2.20-2.21
La  0.6102  0.6673  0.5760  8 P 2.97-3.24
La  0.4208  0.2254  0.0441  9 P 2.99-3.22
La  0.8372  0.9827  0.4144  9 P 2.99-3.20
La  0.3767  0.6813  0.9559  9 P 2.99-3.22
La  0.4228  0.0683  0.5856  9 P 2.99-3.20
La  0.9419  0.4413  0.8841  9 P 2.93-3.25
La  0.0578  0.0571  0.1159  9 P 2.93-3.25
La  0.0342  0.5913  0.4240  8 P 2.97-3.24

Its formation energy is -1261 meV/atom. Its symmetry is Cc (9). The calculation puts the total energy at -412.2 eV per cell. As for the size of the total moment: 0.000 Bohr magnetons per cell.

---

Record 2
First-principles (r²SCAN) data for an optimized crystal structure of LaP7, as listed in Materials Project.

Cell: 7.0407 7.9780 11.7472 Å, 90.00 90.00 93.33°
Closest atoms and distances in Å follow each position.
Sites, in units of the cell vectors:
P  0.3752  0.7376  0.8868  3 P 2.16-2.20
P  0.6537  0.4905  0.0110  3 P 2.16-2.19
P  0.1537  0.9905  0.4890  3 P 2.16-2.19
P  0.5943  0.9096  0.9645  3 P 2.18-2.20
P  0.2532  0.5493  0.1614  2 P 2.16-2.21
P  0.2879  0.9708  0.1886  2 P 2.18-2.24
P  0.1248  0.7624  0.3868  3 P 2.16-2.20
P  0.7121  0.0292  0.8114  2 P 2.18-2.24
P  0.2121  0.5292  0.6886  2 P 2.18-2.24
P  0.0884  0.8197  0.8996  2 P 2.16-2.21
P  0.4057  0.0904  0.0355  3 P 2.18-2.20
P  0.9057  0.5904  0.4645  3 P 2.18-2.20
P  0.2468  0.9507  0.6614  2 P 2.16-2.21
P  0.4116  0.6803  0.3996  2 P 2.16-2.21
P  0.7532  0.0493  0.3386  2 P 2.16-2.21
P  0.4615  0.7490  0.2197  3 P 2.21-2.24
P  0.7468  0.4507  0.8386  2 P 2.16-2.21
P  0.3463  0.5095  0.9890  3 P 2.16-2.19
P  0.7879  0.4708  0.3114  2 P 2.18-2.24
P  0.5385  0.2510  0.7803  3 P 2.21-2.24
P  0.9615  0.2490  0.2803  3 P 2.21-2.24
P  0.6248  0.2624  0.1132  3 P 2.16-2.20
P  0.0943  0.4096  0.5355  3 P 2.18-2.20
P  0.8752  0.2376  0.6132  3 P 2.16-2.20
P  0.5884  0.3197  0.6004  2 P 2.16-2.21
P  0.8463  0.0095  0.5110  3 P 2.16-2.19
P  0.9116  0.1803  0.1004  2 P 2.16-2.21
P  0.0385  0.7510  0.7197  3 P 2.21-2.24
La  0.6026  0.7166  0.6510  10 P 3.08-3.26
La  0.1026  0.2166  0.8490  10 P 3.08-3.26
La  0.8974  0.7834  0.1510  10 P 3.08-3.26
La  0.3974  0.2834  0.3490  10 P 3.08-3.26

Its formation energy is -515 meV/atom. Its symmetry is P2_1/c (14). The calculation puts the total energy at -387.5 eV per cell. As for the size of the total moment: 0.000 Bohr magnetons per cell.